Record 1
Density functional theory data (PBE) for an optimized crystal structure of NdNiSnH2.

abc: 4.3956 4.3956 8.4965
angles: 90.00 90.00 120.00
Sites, in units of the cell vectors:
Nd  0.0000  0.0000  0.0000
Nd  0.0000  0.0000  0.5000
Ni  0.3333  0.6667  0.2500
Ni  0.6667  0.3333  0.7500
Sn  0.3333  0.6667  0.7500
Sn  0.6667  0.3333  0.2500
H  0.3333  0.6667  0.0619
H  0.3333  0.6667  0.4381
H  0.6667  0.3333  0.5619
H  0.6667  0.3333  0.9381

Summary:
Density ... 7.56 g/cm³
Space-group type ... P6_3/mmc
Total DFT energy (no corrections) ... -47.97 eV per cell
Energy of formation ... -0.600 eV/atom

Record 2
Density functional theory data (PBE) for an optimized crystal structure of NdNiSnH.

abc: 7.2442 4.3850 8.4694
angles: 90.00 90.00 90.00
Sites, in units of the cell vectors:
Nd  0.0130  0.2500  0.1889
Nd  0.4870  0.7500  0.6889
Nd  0.5130  0.2500  0.3111
Nd  0.9870  0.7500  0.8111
Ni  0.2207  0.7500  0.4007
Ni  0.2793  0.2500  0.9007
Ni  0.7207  0.7500  0.0993
Ni  0.7793  0.2500  0.5993
Sn  0.1583  0.2500  0.5692
Sn  0.3417  0.7500  0.0692
Sn  0.6583  0.2500  0.9308
Sn  0.8417  0.7500  0.4308
H  0.0590  0.2500  0.9195
H  0.4410  0.7500  0.4195
H  0.5590  0.2500  0.5805
H  0.9410  0.7500  0.0805

Summary:
Density ... 7.97 g/cm³
Space-group type ... Pnma
Total DFT energy (no corrections) ... -81.34 eV per cell
Energy of formation ... -0.641 eV/atom

Record 3
Density functional theory data (PBE) for an optimized crystal structure of NdH3O3.

abc: 6.5224 3.7094 6.5457
angles: 90.00 118.99 90.00
Sites, in units of the cell vectors:
Nd  0.1708  0.2500  0.3327
Nd  0.8292  0.7500  0.6673
H  0.2149  0.2500  0.8489
H  0.3524  0.7500  0.7110
H  0.3533  0.7500  0.1150
H  0.6467  0.2500  0.8850
H  0.6476  0.2500  0.2890
H  0.7851  0.7500  0.1511
O  0.0999  0.2500  0.6840
O  0.1896  0.7500  0.0768
O  0.4135  0.7500  0.6016
O  0.5865  0.2500  0.3984
O  0.8104  0.2500  0.9232
O  0.9001  0.7500  0.3160

Summary:
Density ... 4.68 g/cm³
Space-group type ... P2_1/m
Total DFT energy (no corrections) ... -86.41 eV per cell
Energy above the lowest structure with this stoichiometry ... 0 kJ/mol of formula units
Energy of formation ... -2.211 eV/atom

Record 4
Density functional theory data (PBE) for an optimized crystal structure of NdH3O3.

abc: 6.4420 6.4420 3.7564
angles: 90.00 90.00 120.00
Sites, in units of the cell vectors:
Nd  0.3333  0.6667  0.2500
Nd  0.6667  0.3333  0.7500
H  0.1371  0.8620  0.7500
H  0.1380  0.2751  0.7500
H  0.2751  0.1371  0.2500
H  0.7249  0.8629  0.7500
H  0.8620  0.7249  0.2500
H  0.8629  0.1380  0.2500
O  0.0824  0.3906  0.7500
O  0.3082  0.9176  0.7500
O  0.3906  0.3082  0.2500
O  0.6094  0.6918  0.7500
O  0.6918  0.0824  0.2500
O  0.9176  0.6094  0.2500

Summary:
Density ... 4.80 g/cm³
Space-group type ... P6_3/m
Total DFT energy (no corrections) ... -86.41 eV per cell
Energy above the lowest structure with this stoichiometry ... 0 kJ/mol of formula units
Energy of formation ... -2.211 eV/atom

Record 5
Density functional theory data (PBE) for an optimized crystal structure of NdHO.

abc: 7.9274 7.9274 5.5900
angles: 90.00 90.00 90.00
Sites, in units of the cell vectors:
Nd  0.0000  0.0000  0.0000
Nd  0.0000  0.5000  0.0000
Nd  0.2500  0.2500  0.4484
Nd  0.2500  0.7500  0.5000
Nd  0.5000  0.0000  0.0000
Nd  0.5000  0.5000  0.0000
Nd  0.7500  0.2500  0.5000
Nd  0.7500  0.7500  0.5516
H  0.0217  0.2500  0.7495
H  0.2500  0.0217  0.7495
H  0.2500  0.4783  0.7495
H  0.4783  0.2500  0.7495
H  0.5217  0.7500  0.2505
H  0.7500  0.5217  0.2505
H  0.7500  0.9783  0.2505
H  0.9783  0.7500  0.2505
O  0.0147  0.7500  0.7547
O  0.2500  0.5147  0.2453
O  0.2500  0.9853  0.2453
O  0.4853  0.7500  0.7547
O  0.5147  0.2500  0.2453
O  0.7500  0.0147  0.7547
O  0.7500  0.4853  0.7547
O  0.9853  0.2500  0.2453

Summary:
Density ... 6.10 g/cm³
Space-group type ... P4/nmm
Total DFT energy (no corrections) ... -156.26 eV per cell
Energy of formation ... -2.370 eV/atom

Record 6
Density functional theory data (PBE) for an optimized crystal structure of NdHO2.

abc: 4.3572 3.8526 6.2933
angles: 90.00 106.48 90.00
Sites, in units of the cell vectors:
Nd  0.1705  0.0000  0.3075
Nd  0.8295  0.5000  0.6925
H  0.4554  0.3664  0.0283
H  0.5446  0.8664  0.9717
O  0.2567  0.5020  0.5327
O  0.2687  0.4990  0.0450
O  0.7313  0.9990  0.9550
O  0.7433  0.0020  0.4673

Summary:
Density ... 5.81 g/cm³
Space-group type ... P2_1
Total DFT energy (no corrections) ... -56.49 eV per cell
Maximum piezoelectric response ... 0.7 C/m2
Energy of formation ... -2.890 eV/atom

Record 7
Density functional theory data (PBE) for an optimized crystal structure of NdH3O3.

abc: 6.5264 3.7170 6.5727
angles: 90.00 119.33 90.00
Sites, in units of the cell vectors:
Nd  0.0000  0.0000  0.0000
Nd  0.3276  0.5000  0.6603
H  0.3831  0.5000  0.1880
H  0.5207  0.0000  0.0414
H  0.5292  0.0000  0.4721
H  0.7989  0.5000  0.1840
H  0.8034  0.5000  0.6293
H  0.9393  0.0000  0.4649
O  0.0582  0.0000  0.4159
O  0.2701  0.5000  0.2446
O  0.3523  0.0000  0.9304
O  0.5752  0.0000  0.6373
O  0.7495  0.5000  0.0181
O  0.9730  0.5000  0.7318

Summary:
Density ... 4.67 g/cm³
Space-group type ... Pm
Total DFT energy (no corrections) ... -86.36 eV per cell
Energy above the lowest structure with this stoichiometry ... 2 kJ/mol of formula units
Energy of formation ... -2.208 eV/atom

Record 8
Density functional theory data (PBE) for an optimized crystal structure of NdRe3H6O15.

abc: 7.7021 13.8907 13.2449
angles: 90.00 103.66 90.00
Sites, in units of the cell vectors:
Nd  0.1819  0.1351  0.3260
Nd  0.1819  0.3649  0.8260
Nd  0.8181  0.6351  0.1740
Nd  0.8181  0.8649  0.6740
Re  0.1837  0.6610  0.8010
Re  0.1837  0.8390  0.3010
Re  0.2176  0.5559  0.4405
Re  0.2176  0.9441  0.9405
Re  0.2987  0.5127  0.1162
Re  0.2987  0.9873  0.6162
Re  0.7013  0.0127  0.3838
Re  0.7013  0.4873  0.8838
Re  0.7824  0.0559  0.0595
Re  0.7824  0.4441  0.5595
Re  0.8163  0.1610  0.6990
Re  0.8163  0.3390  0.1990
H  0.0640  0.2020  0.5312
H  0.0640  0.2980  0.0312
H  0.0887  0.2037  0.9705
H  0.0887  0.2963  0.4705
H  0.2722  0.1440  0.1077
H  0.2722  0.3560  0.6077
H  0.3503  0.1641  0.8928
H  0.3503  0.3359  0.3928
H  0.4197  0.2075  0.1813
H  0.4197  0.2925  0.6813
H  0.4786  0.7269  0.6019
H  0.4786  0.7731  0.1019
H  0.5214  0.2269  0.8981
H  0.5214  0.2731  0.3981
H  0.5803  0.7075  0.3187
H  0.5803  0.7925  0.8187
H  0.6497  0.6641  0.6072
H  0.6497  0.8359  0.1072
H  0.7278  0.6440  0.3923
H  0.7278  0.8560  0.8923
H  0.9113  0.7037  0.5295
H  0.9113  0.7963  0.0295
H  0.9360  0.7020  0.9688
H  0.9360  0.7980  0.4688
O  0.0229  0.2102  0.7658
O  0.0229  0.2898  0.2658
O  0.0421  0.6038  0.3417
O  0.0421  0.8962  0.8417
O  0.1054  0.2265  0.4722
O  0.1054  0.2735  0.9722
O  0.1091  0.5746  0.1347
O  0.1091  0.9254  0.6347
O  0.1762  0.0654  0.9675
O  0.1762  0.4346  0.4675
O  0.1941  0.5368  0.7745
O  0.1941  0.9632  0.2745
O  0.2005  0.6732  0.9338
O  0.2005  0.8268  0.4338
O  0.2421  0.6259  0.5523
O  0.2421  0.8741  0.0523
O  0.2579  0.0394  0.4914
O  0.2579  0.4606  0.9914
O  0.3001  0.1792  0.1736
O  0.3001  0.3208  0.6736
O  0.3392  0.0804  0.7050
O  0.3392  0.4196  0.2050
O  0.3591  0.7243  0.7699
O  0.3591  0.7757  0.2699
O  0.3926  0.2302  0.8913
O  0.3926  0.2698  0.3913
O  0.4144  0.5629  0.3983
O  0.4144  0.9371  0.8983
O  0.4890  0.5870  0.1370
O  0.4890  0.9130  0.6370
O  0.5110  0.0870  0.3630
O  0.5110  0.4130  0.8630
O  0.5856  0.0629  0.1017
O  0.5856  0.4371  0.6017
O  0.6074  0.7302  0.6087
O  0.6074  0.7698  0.1087
O  0.6409  0.2243  0.7301
O  0.6409  0.2757  0.2301
O  0.6608  0.5804  0.7950
O  0.6608  0.9196  0.2950
O  0.6999  0.6792  0.3264
O  0.6999  0.8208  0.8264
O  0.7421  0.5394  0.0086
O  0.7421  0.9606  0.5086
O  0.7579  0.1259  0.9477
O  0.7579  0.3741  0.4477
O  0.7995  0.1732  0.5662
O  0.7995  0.3268  0.0662
O  0.8059  0.0368  0.7255
O  0.8059  0.4632  0.2255
O  0.8238  0.5654  0.5325
O  0.8238  0.9346  0.0325
O  0.8909  0.0746  0.3653
O  0.8909  0.4254  0.8653
O  0.8946  0.7265  0.0278
O  0.8946  0.7735  0.5278
O  0.9579  0.1038  0.1583
O  0.9579  0.3962  0.6583
O  0.9771  0.7102  0.7342
O  0.9771  0.7898  0.2342

Summary:
Density ... 4.58 g/cm³
Space-group type ... P2_1/c
Total DFT energy (no corrections) ... -709.10 eV per cell
Energy of formation ... -2.036 eV/atom

Record 9
Density functional theory data (PBE) for an optimized crystal structure of NdHSO5.

abc: 4.5161 12.5406 7.1495
angles: 90.00 110.97 90.00
Sites, in units of the cell vectors:
Nd  0.1614  0.0629  0.2997
Nd  0.1614  0.4371  0.7997
Nd  0.8386  0.5629  0.2003
Nd  0.8386  0.9371  0.7003
H  0.2169  0.6538  0.9783
H  0.2169  0.8462  0.4783
H  0.7831  0.1538  0.5217
H  0.7831  0.3462  0.0217
S  0.4080  0.1468  0.8892
S  0.4080  0.3532  0.3892
S  0.5920  0.6468  0.6108
S  0.5920  0.8532  0.1108
O  0.1971  0.0700  0.9492
O  0.1971  0.4300  0.4492
O  0.2338  0.2476  0.8228
O  0.2338  0.2524  0.3228
O  0.2391  0.5835  0.0423
O  0.2391  0.9165  0.5423
O  0.3007  0.6658  0.4373
O  0.3007  0.8342  0.9373
O  0.4756  0.0976  0.7195
O  0.4756  0.4024  0.2195
O  0.5244  0.5976  0.7805
O  0.5244  0.9024  0.2805
O  0.6993  0.1658  0.0627
O  0.6993  0.3342  0.5627
O  0.7609  0.0835  0.4577
O  0.7609  0.4165  0.9577
O  0.7662  0.7476  0.6772
O  0.7662  0.7524  0.1772
O  0.8029  0.5700  0.5508
O  0.8029  0.9300  0.0508

Summary:
Density ... 4.52 g/cm³
Space-group type ... P2_1/c
Total DFT energy (no corrections) ... -215.15 eV per cell
Energy of formation ... -2.523 eV/atom

Record 10
Density functional theory data (PBE) for an optimized crystal structure of NdHS3O11.

abc: 8.6811 10.7207 11.9914
angles: 90.00 126.36 90.00
Sites, in units of the cell vectors:
Nd  0.2416  0.1723  0.2265
Nd  0.2416  0.3277  0.7265
Nd  0.7584  0.6723  0.2735
Nd  0.7584  0.8277  0.7735
H  0.2654  0.5768  0.3291
H  0.2654  0.9232  0.8291
H  0.7346  0.0768  0.1709
H  0.7346  0.4232  0.6709
S  0.1518  0.0608  0.8921
S  0.1518  0.4392  0.3921
S  0.2324  0.6898  0.0835
S  0.2324  0.8102  0.5835
S  0.3539  0.0599  0.5762
S  0.3539  0.4401  0.0762
S  0.6461  0.5599  0.9238
S  0.6461  0.9401  0.4238
S  0.7676  0.1898  0.4165
S  0.7676  0.3102  0.9165
S  0.8482  0.5608  0.6079
S  0.8482  0.9392  0.1079
O  0.0364  0.5006  0.6834
O  0.0364  0.9994  0.1834
O  0.0908  0.7304  0.4709
O  0.0908  0.7696  0.9709
O  0.1490  0.1641  0.8112
O  0.1490  0.3359  0.3112
O  0.1892  0.6512  0.1780
O  0.1892  0.8488  0.6780
O  0.2174  0.5635  0.9963
O  0.2174  0.9365  0.4963
O  0.2247  0.0982  0.0327
O  0.2247  0.4018  0.5327
O  0.2559  0.1318  0.6199
O  0.2559  0.3682  0.1199
O  0.3030  0.5370  0.4176
O  0.3030  0.9630  0.9176
O  0.3523  0.1180  0.4661
O  0.3523  0.3820  0.9661
O  0.4272  0.7363  0.1503
O  0.4272  0.7637  0.6503
O  0.4594  0.5141  0.8085
O  0.4594  0.9859  0.3085
O  0.5406  0.0141  0.6915
O  0.5406  0.4859  0.1915
O  0.5728  0.2364  0.3497
O  0.5728  0.2636  0.8497
O  0.6477  0.6180  0.0339
O  0.6477  0.8820  0.5339
O  0.6970  0.0370  0.0824
O  0.6970  0.4630  0.5824
O  0.7441  0.6318  0.8801
O  0.7441  0.8682  0.3801
O  0.7753  0.5982  0.4673
O  0.7753  0.9018  0.9673
O  0.7826  0.0635  0.5037
O  0.7826  0.4365  0.0037
O  0.8108  0.1512  0.3220
O  0.8108  0.3488  0.8220
O  0.8510  0.6641  0.6888
O  0.8510  0.8359  0.1888
O  0.9092  0.2304  0.0291
O  0.9092  0.2696  0.5291
O  0.9636  0.0006  0.8166
O  0.9636  0.4994  0.3166

Summary:
Density ... 3.09 g/cm³
Space-group type ... P2_1/c
Total DFT energy (no corrections) ... -408.42 eV per cell
Energy of formation ... -2.166 eV/atom

- What is the formula in the fourth record?
  NdH3O3

- The lowest density belongs to which entry?
  NdHS3O11

- What is the density in the first record?
  7.56 g/cm³

- Which of these has the highest total DFT energy (no corrections)?
  NdNiSnH2